Density functional theory data (PBE) for crystalline Ba2GdPaO6 at its relaxed geometry.

Output
ΔE_f (eV/atom): -3.706
Crystal system: cubic
VASP energy (eV/atom): -9.006

abc: 6.3138 6.3138 6.3138
angles: 60.00 60.00 60.00
Sites, in units of the cell vectors:
Ba 0.7500 0.7500 0.7500
Ba 0.2500 0.2500 0.2500
Gd 0.5000 0.5000 0.5000
Pa 0.0000 0.0000 0.0000
O 0.7559 0.7559 0.2441
O 0.2441 0.2441 0.7559
O 0.7559 0.2441 0.7559
O 0.2441 0.7559 0.2441
O 0.2441 0.7559 0.7559
O 0.7559 0.2441 0.2441